(1)
First-principles (PBE+U) data for crystalline Sr24Ni19O54 at its relaxed geometry, as listed in Materials Project.

Results
ΔE_f (eV per formula unit): -195.682
E_tot (eV/f.u.): -527.9
M_tot (μB/cell): 1.1
MP2020-corrected energy (eV per cell): -613.24

extended XYZ file:
```
97
Lattice="9.562 0.000 0.000 -4.780 -8.329 0.000 -0.077 0.040 -15.624" Properties=species:S:1:pos:R:3 pbc="T T T"
O 1.366 0.004 -3.912
O -0.847 -6.978 -0.447
O -1.561 -5.378 -5.864
O 0.646 -6.877 -13.556
O 4.022 -7.057 -3.889
O 1.399 -5.694 -0.491
O -0.684 -4.208 -8.223
O 8.762 -1.188 -3.926
O -0.770 -1.226 -11.708
O 3.909 -1.549 -7.461
O 0.858 -4.249 -13.498
O -3.964 -7.115 -1.518
O 6.254 -2.661 -7.489
O 3.250 -8.225 -1.490
O 0.634 -1.324 -9.352
O 5.421 -6.935 -6.230
O 7.997 -0.049 -6.260
O 7.991 -0.062 -14.035
O 3.820 -1.547 -15.253
O -0.825 -6.928 -3.369
O 1.380 -5.671 -3.132
O -1.486 -5.383 -13.638
O 5.327 -1.428 -2.017
O 3.284 -2.865 -9.827
O 1.409 -5.665 -8.238
O -0.690 -3.956 -0.318
O 0.767 -1.193 -14.069
O 0.783 -1.242 -6.244
O -0.981 -6.901 -8.005
O 3.912 -1.559 -4.416
O 0.862 -4.306 -5.873
O 4.097 -4.142 -7.504
O 5.374 -1.440 -9.836
O 6.184 -2.601 -15.293
O 4.090 -4.152 -15.294
O 3.942 -1.543 -12.214
O 6.207 -2.643 -4.400
O 5.603 -3.972 -2.033
O 1.362 0.013 -11.708
O 5.573 -3.976 -9.840
O 4.109 -4.113 -4.395
O -0.715 -4.265 -11.166
O 1.361 -5.701 -11.146
O 3.282 -2.923 -2.010
O 0.623 -1.452 -1.615
O 3.997 -7.072 -11.700
O 3.226 -8.223 -9.348
O -0.714 -3.995 -3.513
O 4.040 -4.104 -12.159
O 6.216 -2.734 -12.204
O -4.012 -7.041 -9.370
O 0.636 -6.875 -5.853
O -0.990 -6.885 -11.453
O 5.393 -6.922 -14.049
Sr 1.269 -8.293 -7.851
Sr -3.014 -5.346 -0.027
Sr 1.562 -2.691 -11.700
Sr 7.783 -2.533 -9.777
Sr 3.489 -5.566 -1.918
Sr -1.749 -8.079 -5.874
Sr 6.040 -0.063 -15.481
Sr 7.697 -2.416 -1.968
Sr 1.707 -2.885 -15.453
Sr 3.417 -5.537 -9.784
Sr 1.713 -2.933 -7.807
Sr 1.602 -2.632 -4.075
Sr -1.747 -8.067 -13.618
Sr -1.387 -2.745 -13.672
Sr 6.294 0.025 -11.690
Sr 2.929 -0.314 -1.930
Sr 3.034 -0.103 -9.766
Sr 3.060 -5.740 -5.905
Sr -3.078 -5.348 -7.841
Sr 6.309 -5.560 -3.961
Sr -1.377 -2.784 -5.865
Sr 6.351 -0.074 -4.090
Sr 3.012 -5.733 -13.612
Sr -3.213 -5.545 -11.720
Ni 4.725 -8.293 -5.151
Ni -0.054 -5.569 -12.333
Ni -4.843 -8.294 -12.942
Ni 4.674 -8.257 -15.573
Ni 9.504 0.015 -7.837
Ni 4.754 -2.790 -0.772
Ni -0.077 -5.512 -4.490
Ni 9.510 -0.012 -2.650
Ni 4.736 -2.771 -3.292
Ni -0.066 -5.567 -7.065
Ni 0.270 -6.538 -1.885
Ni 4.761 -2.773 -5.939
Ni -0.075 -5.493 -14.881
Ni 0.262 -5.063 -9.700
Ni 0.283 -4.363 -1.912
Ni 4.729 -2.775 -13.730
Ni 4.749 -2.772 -8.591
Ni 9.504 0.016 -10.463
Ni 4.738 -2.775 -11.097
```

(2)
First-principles (PBE+U) data for crystalline Li4Mn5Cu3O16 at its relaxed geometry, as listed in Materials Project.

Results
ΔE_f (eV per formula unit): -47.467
E_tot (eV/f.u.): -173.0
M_tot (μB/cell): 0.9
MP2020-corrected energy (eV per cell): -192.38

extended XYZ file:
```
28
Lattice="-1.930 -3.079 -4.591 3.711 -3.017 -3.377 -1.035 -7.804 5.206" Properties=species:S:1:pos:R:3 pbc="T T T"
Mn -1.388 -8.117 0.105
Mn 0.682 -7.834 -2.771
Mn -0.434 -9.706 2.509
Mn 1.390 -8.087 0.703
Mn 1.252 -6.725 -5.476
Cu 2.196 -5.182 -3.260
Cu -0.552 -5.212 -3.851
Cu -0.434 -6.593 2.352
O -0.798 -3.231 -3.046
O 0.941 -12.372 -3.747
O -0.237 -7.326 -4.425
O -1.675 -8.235 2.005
O -0.004 -9.458 0.496
O 0.197 -1.728 -0.827
O 0.873 -8.207 2.553
O 2.188 -7.300 -3.903
O 0.571 -5.938 -2.354
O -0.985 -8.182 -1.808
O -0.024 -6.821 0.457
O 1.077 -4.947 -4.755
O 2.048 -3.200 -2.434
O 0.866 -9.832 -3.529
O 1.471 -8.397 -6.409
O 1.811 -8.152 -1.207
Li 0.188 -5.165 -0.610
Li 0.258 -11.092 -0.638
Li -0.501 -3.841 2.521
Li -1.030 -7.785 5.180
```

(3)
First-principles (PBE+U) data for crystalline MnCo3O8 at its relaxed geometry, as listed in Materials Project.

Results
ΔE_f (eV per formula unit): -14.650
E_tot (eV/f.u.): -72.6
Relative energy among the computed polymorphs (eV per atom): 0.0197
M_tot (μB/cell): 12.0
MP2020-corrected energy (eV per cell): -169.44

extended XYZ file:
```
24
Lattice="-4.889 -2.553 1.113 4.372 -0.656 3.480 -2.590 6.951 4.563" Properties=species:S:1:pos:R:3 pbc="T T T"
O -0.830 2.227 1.463
O -4.538 4.467 4.530
O -4.766 3.048 6.562
O -2.604 4.177 6.070
O -3.642 -1.511 1.981
O -3.350 2.237 4.630
O 0.980 0.485 5.421
O -1.422 -1.844 3.748
O -0.934 3.571 4.085
O 1.286 3.238 5.852
O -2.124 5.701 3.743
O -1.196 1.943 6.417
O -0.955 0.775 3.881
O -1.158 -0.215 1.414
O 1.210 1.906 3.388
O 1.030 -0.605 3.139
Co -2.741 3.964 4.190
Co -2.998 2.367 6.476
Co 0.104 0.807 2.307
Co 2.280 0.480 4.039
Co -5.174 2.693 4.744
Co -0.154 -0.790 4.593
Mn -4.353 4.928 6.397
Mn 0.028 2.085 4.905
```

(4)
First-principles (PBE+U) data for crystalline Cs2KCoF6 at its relaxed geometry, as listed in Materials Project.

Results
ΔE_f (eV per formula unit): -27.249
E_tot (eV/f.u.): -44.3
M_tot (μB/cell): 0.0
MP2020-corrected energy (eV per cell): -48.75

extended XYZ file:
```
10
Lattice="3.357 4.359 3.250 1.658 5.498 -2.804 -2.768 5.470 1.805" Properties=species:S:1:pos:R:3 pbc="T T T"
F -1.141 6.387 1.521
F 3.389 8.940 0.730
F 2.423 5.740 2.362
F -0.176 9.586 -0.111
F 0.812 8.924 3.413
F 1.435 6.403 -1.162
Cs 0.562 3.832 0.563
Cs 1.685 11.495 1.688
Co 0.000 0.000 0.000
K 1.124 7.663 1.125
```

(5)
First-principles (PBE+U) data for crystalline Li5Co3O8 at its relaxed geometry, as listed in Materials Project.

Results
ΔE_f (eV per formula unit): -26.646
E_tot (eV/f.u.): -86.7
Relative energy among the computed polymorphs (eV per atom): 0.0686
M_tot (μB/cell): 2.5
MP2020-corrected energy (eV per cell): -97.10

extended XYZ file:
```
16
Lattice="-2.506 -1.360 -0.892 1.949 -0.814 -4.561 4.081 -8.790 0.894" Properties=species:S:1:pos:R:3 pbc="T T T"
O 3.264 -4.017 -3.820
O 1.714 -1.705 -2.555
O 1.811 -9.260 -2.004
O 0.886 -4.318 -1.756
O -0.374 -1.927 -0.901
O 0.261 -6.948 -0.739
O 2.638 -6.647 -2.803
O 3.898 -9.037 -3.658
Co 4.549 -7.288 -2.714
Co 0.788 -5.075 0.001
Co -1.024 -3.676 -1.845
Li 0.000 0.000 0.000
Li -0.278 -1.087 -2.727
Li 1.239 -3.484 -3.622
Li 2.285 -7.481 -0.937
Li 3.015 -4.802 -1.833
```

(6)
First-principles (PBE+U) data for crystalline Mg2W2O5 at its relaxed geometry, as listed in Materials Project.

Results
ΔE_f (eV per formula unit): -16.970
E_tot (eV/f.u.): -58.5
M_tot (μB/cell): 8.0
MP2020-corrected energy (eV per cell): -141.65

extended XYZ file:
```
18
Lattice="5.268 0.000 0.000 0.000 3.226 0.000 0.000 0.131 14.107" Properties=species:S:1:pos:R:3 pbc="T T T"
O 2.098 1.758 13.022
O 3.216 1.654 8.258
O 0.582 1.703 5.849
O 3.520 0.062 5.828
O 4.732 1.598 1.084
O 0.886 3.294 8.278
O 5.243 1.731 10.569
O 4.397 0.134 12.828
O 1.763 3.223 1.278
O 2.609 1.626 3.538
W 1.607 1.653 9.464
W 3.643 1.725 11.709
W 4.241 1.704 4.643
W 1.010 1.632 2.398
Mg 4.207 3.265 7.818
Mg 3.676 3.217 0.692
Mg 1.573 0.092 6.289
Mg 1.042 0.140 13.415
```

(7)
First-principles (PBE+U) data for crystalline LiCrC2O6 at its relaxed geometry, as listed in Materials Project.

Results
ΔE_f (eV per formula unit): -20.936
E_tot (eV/f.u.): -74.5
Relative energy among the computed polymorphs (eV per atom): 0.0000
M_tot (μB/cell): 0.0
MP2020-corrected energy (eV per cell): -322.57

extended XYZ file:
```
40
Lattice="2.468 -0.687 -3.901 12.448 -14.323 7.608 -3.685 -2.705 0.937" Properties=species:S:1:pos:R:3 pbc="T T T"
Li 7.806 -13.115 4.458
Li 3.425 -4.601 0.186
Li -3.685 -2.705 0.937
Li 4.381 -8.514 4.272
O 11.044 -14.773 5.960
O 0.342 -5.532 -0.051
O 5.246 -7.935 1.215
O 2.978 -8.965 2.625
O 9.627 -16.449 5.488
O 6.204 -11.849 5.302
O 5.984 -9.780 3.428
O 1.142 -6.855 2.771
O 8.253 -8.751 2.019
O 6.246 -10.975 1.545
O 10.888 -12.182 4.695
O 9.209 -12.664 6.105
O 9.366 -15.255 7.370
O 1.865 -2.460 -2.727
O 1.603 -1.266 -0.844
O 4.985 -6.741 3.098
O 1.821 -3.335 1.030
O 10.088 -10.860 1.874
O 9.408 -14.381 3.613
O 2.821 -6.374 1.359
O 0.185 -2.942 -1.317
O 2.022 -5.051 -1.463
O 8.410 -11.342 3.284
O 5.028 -5.867 -0.659
C 10.249 -11.953 5.800
C 5.607 -10.745 2.650
C 2.182 -6.145 2.464
C 9.048 -11.571 2.179
C 10.004 -15.484 6.265
C 0.981 -5.762 -1.157
C 1.226 -2.231 -1.622
C 5.623 -6.970 1.993
Cr -0.130 -3.653 0.561
Cr 7.936 -9.462 3.896
Cr 3.294 -8.254 0.747
Cr 11.361 -14.062 4.082
```

(8)
First-principles (PBE+U) data for crystalline Li4V3P8O29 at its relaxed geometry, as listed in Materials Project.

Results
ΔE_f (eV per formula unit): -113.263
E_tot (eV/f.u.): -309.9
Relative energy among the computed polymorphs (eV per atom): 0.0092
M_tot (μB/cell): 2.0
MP2020-corrected energy (eV per cell): -669.89

extended XYZ file:
```
88
Lattice="-5.217 -7.320 -3.807 8.220 -1.919 4.925 -7.489 -0.859 12.068" Properties=species:S:1:pos:R:3 pbc="T T T"
P -1.740 -5.610 0.690
P -1.722 -8.309 4.070
P -2.314 -2.998 4.030
P 2.756 -6.857 3.779
P -7.247 -3.234 9.402
P -2.154 -7.043 9.146
P 4.695 -2.228 5.456
P -9.208 -7.860 7.806
P -5.849 -6.130 1.549
P -4.705 -7.653 10.543
P -2.801 -4.485 12.434
P 0.238 -2.425 2.632
P -5.445 -6.109 6.691
P 0.968 -4.033 6.488
P -2.831 -1.738 9.147
P 1.392 -3.937 11.643
O 0.567 -8.791 0.995
O -5.268 -7.484 7.457
O 3.722 -7.457 2.830
O 3.282 -1.995 4.848
O 0.278 -4.109 7.797
O -3.227 -7.949 9.941
O -3.614 -4.513 13.673
O 4.991 -3.758 5.501
O -5.985 -6.021 -0.044
O 4.567 -1.831 7.024
O -1.245 -2.136 3.151
O -9.156 -8.355 6.268
O -1.777 -4.428 4.097
O -5.178 -7.490 1.813
O 3.345 -5.694 4.621
O -7.751 -8.055 8.349
O -3.496 -3.087 8.731
O 0.521 -5.162 5.506
O -4.912 -4.977 2.011
O -2.130 -9.063 5.289
O -1.965 -7.556 7.746
O 0.530 -5.104 11.145
O 0.877 -2.642 5.752
O -2.573 -2.301 5.305
O -9.508 -6.346 7.696
O -5.615 -8.680 9.827
O -8.175 -2.719 10.429
O 2.555 -4.250 6.661
O -6.957 -5.903 6.388
O -1.694 -3.330 12.434
O -7.202 -6.019 2.209
O 0.250 -2.298 1.139
O -2.494 -4.259 0.990
O -3.693 -4.141 11.181
O -2.047 -5.828 12.146
O -7.816 -4.428 8.571
O 2.790 -3.855 11.170
O -0.969 -7.009 4.487
O -5.883 -3.682 10.032
O -0.799 -5.963 1.905
O 1.371 -4.021 13.272
O -3.567 -2.970 3.087
O 1.450 -6.406 3.075
O -2.701 -5.592 9.175
O -5.072 -6.221 10.099
O 1.126 -1.394 3.368
O -7.810 -8.183 4.157
O -2.842 -6.757 0.721
O -4.686 -7.814 12.029
O -0.852 -7.158 9.969
O 0.645 -3.846 3.093
O -5.016 -1.316 12.343
O -5.021 -5.007 7.779
O -4.567 -6.089 5.493
O -1.621 -2.028 10.066
O -2.871 -7.971 3.089
O -0.957 -5.547 -0.572
O 0.657 -2.572 11.367
V -0.998 -1.736 11.872
V -3.533 -8.364 1.343
V -8.545 -4.781 6.906
V -0.179 -5.434 3.652
V -4.299 -4.617 9.419
V 4.027 -5.269 6.326
Li -1.390 -2.496 0.008
Li -3.758 -1.073 6.051
Li -5.645 -3.082 12.104
Li 1.140 -7.000 1.125
Li -3.118 -7.670 13.245
Li -3.417 -8.428 6.589
Li -7.367 -6.288 4.239
Li -0.485 -6.769 6.485
```

(9)
First-principles (PBE+U) data for crystalline Li2TiVO4 at its relaxed geometry, as listed in Materials Project.

Results
ΔE_f (eV per formula unit): -21.964
E_tot (eV/f.u.): -58.1
Relative energy among the computed polymorphs (eV per atom): 0.0064
M_tot (μB/cell): 2.0
MP2020-corrected energy (eV per cell): -250.21

extended XYZ file:
```
32
Lattice="-4.562 -2.565 0.018 4.387 -4.305 4.917 -1.429 6.037 4.844" Properties=species:S:1:pos:R:3 pbc="T T T"
O 1.352 0.821 8.487
O -0.110 -1.744 1.322
O -1.493 0.911 8.456
O 0.013 -3.412 6.178
O -0.071 1.713 6.168
O -1.555 0.826 1.303
O 1.342 -2.683 3.638
O -1.617 2.579 3.600
O -2.957 -1.653 1.291
O -1.487 -0.792 6.159
O -2.946 1.850 6.141
O -0.117 -0.040 3.620
O -0.049 -1.658 8.474
O -1.534 -2.546 3.611
O -2.995 0.051 3.593
O 1.390 -0.883 6.186
Ti -2.995 1.736 2.431
Ti -1.508 -0.829 2.515
Ti -0.096 -0.003 7.264
Ti -0.088 -3.435 2.467
Li -4.540 0.893 4.880
Li -3.087 -3.419 2.464
Li 2.937 0.002 7.332
Li -4.541 -0.835 2.446
Li 1.483 2.587 7.314
Li 0.000 0.000 0.000
Li 2.936 -1.725 4.899
Li -3.083 -1.699 4.898
V -1.548 0.911 4.880
V -3.014 3.516 4.861
V 1.409 -4.349 4.917
V -0.056 -1.743 4.899
```